#w
{
  "formula": "KSrZrBiO6",
  "functional": "GGA-PBE",
  "state": "optimized geometry",
  "lattice": [[8.3930, 0.0000, 0.0000], [0.0000, 8.4048, 0.0000], [0.0000, 0.0000, 8.4287]],
  "species": ["K", "K", "K", "K", "Sr", "Sr", "Sr", "Sr", "Zr", "Zr", "Zr", "Zr", "Bi", "Bi", "Bi", "Bi", "O", "O", "O", "O", "O", "O", "O", "O", "O", "O", "O", "O", "O", "O", "O", "O", "O", "O", "O", "O", "O", "O", "O", "O"],
  "fractional_positions": [[0.2500, 0.2500, 0.2500], [0.2500, 0.7500, 0.7500], [0.7500, 0.2500, 0.2500], [0.7500, 0.7500, 0.7500], [0.2500, 0.2500, 0.7500], [0.2500, 0.7500, 0.2500], [0.7500, 0.2500, 0.7500], [0.7500, 0.7500, 0.2500], [0.0000, 0.0000, 0.0000], [0.0000, 0.5000, 0.5000], [0.5000, 0.0000, 0.5000], [0.5000, 0.5000, 0.0000], [0.0000, 0.0000, 0.5000], [0.0000, 0.5000, 0.0000], [0.5000, 0.0000, 0.0000], [0.5000, 0.5000, 0.5000], [0.0179, 0.2503, 0.5329], [0.0179, 0.2497, 0.9671], [0.0208, 0.0081, 0.2484], [0.0208, 0.4919, 0.2516], [0.2485, 0.5189, 0.5170], [0.2485, 0.9811, 0.9830], [0.2515, 0.5189, 0.9830], [0.2515, 0.9811, 0.5170], [0.4792, 0.0081, 0.2516], [0.4792, 0.4919, 0.2484], [0.4821, 0.2497, 0.5329], [0.4821, 0.2503, 0.9671], [0.5179, 0.7497, 0.0329], [0.5179, 0.7503, 0.4671], [0.5208, 0.5081, 0.7516], [0.5208, 0.9919, 0.7484], [0.7485, 0.0189, 0.4830], [0.7485, 0.4811, 0.0170], [0.7515, 0.0189, 0.0170], [0.7515, 0.4811, 0.4830], [0.9792, 0.5081, 0.7484], [0.9792, 0.9919, 0.7516], [0.9821, 0.7503, 0.0329], [0.9821, 0.7497, 0.4671]],
  "m_tot_mub_per_fu": 0.0
}


#x
{
  "formula": "KSrZrBiO6",
  "functional": "GGA-PBE",
  "state": "optimized geometry",
  "lattice": [[0.0000, 4.2139, 4.2139], [4.2139, 0.0000, 4.2139], [4.2139, 4.2139, 0.0000]],
  "species": ["K", "Sr", "Zr", "Bi", "O", "O", "O", "O", "O", "O"],
  "fractional_positions": [[0.0000, 0.0000, 0.0000], [0.5000, 0.5000, 0.5000], [0.7500, 0.7500, 0.7500], [0.2500, 0.2500, 0.2500], [0.5012, 0.5012, 0.9988], [0.5012, 0.9988, 0.5012], [0.5012, 0.9988, 0.9988], [0.9988, 0.5012, 0.5012], [0.9988, 0.5012, 0.9988], [0.9988, 0.9988, 0.5012]],
  "m_tot_mub_per_fu": 0.0
}


How far above the most stable structure does each one sit? In meV per atom: #w 0; #x 21.


#w
{
  "formula": "LaMg6Bi",
  "functional": "GGA-PBE",
  "state": "optimized geometry",
  "lattice": [[5.3348, 0.0000, 0.0000], [0.0000, 3.1856, 6.2760], [0.0000, -3.1856, 6.2760]],
  "species": ["La", "Mg", "Mg", "Mg", "Mg", "Mg", "Mg", "Bi"],
  "fractional_positions": [[0.0000, 0.0000, 0.0000], [0.0000, 0.4929, 0.9946], [0.0000, 0.9946, 0.4929], [0.5000, 0.1401, 0.6394], [0.5000, 0.1681, 0.1681], [0.5000, 0.6394, 0.1401], [0.5000, 0.6577, 0.6577], [0.0000, 0.4898, 0.4898]],
  "m_tot_mub_per_fu": 0.0
}


#x
{
  "formula": "LaMg6Bi",
  "functional": "GGA-PBE",
  "state": "optimized geometry",
  "lattice": [[-0.1843, 2.6424, -4.3402], [-0.5689, -5.6456, -3.4130], [-12.5661, 0.6898, 0.9534]],
  "species": ["La", "La", "Mg", "Mg", "Mg", "Mg", "Mg", "Mg", "Mg", "Mg", "Mg", "Mg", "Mg", "Mg", "Bi", "Bi"],
  "fractional_positions": [[0.0000, 0.5000, 0.3148], [0.0000, 0.0000, 0.8148], [0.0000, 0.2287, 0.0693], [0.0000, 0.7713, 0.0693], [0.0000, 0.0000, 0.3482], [0.5000, 0.7543, 0.4305], [0.5000, 0.2457, 0.4305], [0.5000, 0.0000, 0.1955], [0.0000, 0.7287, 0.5693], [0.0000, 0.2713, 0.5693], [0.0000, 0.5000, 0.8482], [0.5000, 0.2543, 0.9305], [0.5000, 0.7457, 0.9305], [0.5000, 0.5000, 0.6955], [0.5000, 0.5000, 0.1418], [0.5000, 0.0000, 0.6418]],
  "m_tot_mub_per_fu": 0.0
}


How far above the most stable structure does each one sit? In meV per atom: #w 12; #x 0.


#w
{
  "formula": "LaMg14Bi",
  "functional": "GGA-PBE",
  "state": "optimized geometry",
  "lattice": [[10.5324, 0.0000, 0.0000], [0.0000, 3.2651, 5.7487], [0.0000, -3.2651, 5.7487]],
  "species": ["La", "Mg", "Mg", "Mg", "Mg", "Mg", "Mg", "Mg", "Mg", "Mg", "Mg", "Mg", "Mg", "Mg", "Mg", "Bi"],
  "fractional_positions": [[0.0000, 0.0000, 0.0000], [0.0000, 0.0048, 0.4964], [0.0000, 0.4964, 0.0048], [0.2509, 0.6695, 0.6695], [0.2571, 0.1696, 0.1696], [0.2604, 0.1653, 0.6638], [0.2604, 0.6638, 0.1653], [0.5000, 0.9997, 0.5009], [0.5000, 0.0007, 0.0007], [0.5000, 0.5009, 0.9997], [0.5000, 0.5011, 0.5011], [0.7396, 0.1653, 0.6638], [0.7396, 0.6638, 0.1653], [0.7429, 0.1696, 0.1696], [0.7491, 0.6695, 0.6695], [0.0000, 0.4987, 0.4987]],
  "m_tot_mub_per_fu": 0.0
}


#x
{
  "formula": "LaMg14Bi",
  "functional": "GGA-PBE",
  "state": "optimized geometry",
  "lattice": [[6.5412, 0.0000, 0.0000], [-3.2706, 5.6648, 0.0000], [0.0000, 0.0000, 10.7540]],
  "species": ["La", "Mg", "Mg", "Mg", "Mg", "Mg", "Mg", "Mg", "Mg", "Mg", "Mg", "Mg", "Mg", "Mg", "Mg", "Bi"],
  "fractional_positions": [[0.0000, 0.0000, 0.0000], [0.0108, 0.5054, 0.0000], [0.1685, 0.3370, 0.2521], [0.1685, 0.3370, 0.7479], [0.1685, 0.8315, 0.2521], [0.1685, 0.8315, 0.7479], [0.4946, 0.5054, 0.0000], [0.4946, 0.9892, 0.0000], [0.5025, 0.0050, 0.5000], [0.5025, 0.4975, 0.5000], [0.6630, 0.8315, 0.2521], [0.6630, 0.8315, 0.7479], [0.6667, 0.3333, 0.2410], [0.6667, 0.3333, 0.7590], [0.9950, 0.4975, 0.5000], [0.0000, 0.0000, 0.5000]],
  "m_tot_mub_per_fu": 0.0
}


How far above the most stable structure does each one sit? In meV per atom: #w 0; #x 46.


#w
{
  "formula": "LiMg14Bi",
  "functional": "GGA-PBE",
  "state": "optimized geometry",
  "lattice": [[10.4960, 0.0000, 0.0000], [0.0000, 3.1611, 5.5915], [0.0000, -3.1611, 5.5915]],
  "species": ["Li", "Mg", "Mg", "Mg", "Mg", "Mg", "Mg", "Mg", "Mg", "Mg", "Mg", "Mg", "Mg", "Mg", "Mg", "Bi"],
  "fractional_positions": [[0.0000, 0.0000, 0.0000], [0.0000, 0.0006, 0.4977], [0.0000, 0.4977, 0.0006], [0.2516, 0.1664, 0.1664], [0.2536, 0.1616, 0.6691], [0.2536, 0.6691, 0.1616], [0.2536, 0.6691, 0.6691], [0.5000, 0.4999, 0.4999], [0.5000, 0.5008, 0.9991], [0.5000, 0.9991, 0.5008], [0.5000, 0.9995, 0.9995], [0.7464, 0.1616, 0.6691], [0.7464, 0.6691, 0.1616], [0.7464, 0.6691, 0.6691], [0.7484, 0.1664, 0.1664], [0.0000, 0.4992, 0.4992]],
  "m_tot_mub_per_fu": 0.0
}


#x
{
  "formula": "LiMg14Bi",
  "functional": "GGA-PBE",
  "state": "optimized geometry",
  "lattice": [[6.4044, 0.0000, 0.0000], [-3.2022, 5.5464, 0.0000], [0.0000, 0.0000, 10.4523]],
  "species": ["Li", "Mg", "Mg", "Mg", "Mg", "Mg", "Mg", "Mg", "Mg", "Mg", "Mg", "Mg", "Mg", "Mg", "Mg", "Bi"],
  "fractional_positions": [[0.0000, 0.0000, 0.0000], [0.0017, 0.5009, 0.0000], [0.1687, 0.3375, 0.2446], [0.1687, 0.3375, 0.7554], [0.1687, 0.8313, 0.2446], [0.1687, 0.8313, 0.7554], [0.4991, 0.5009, 0.0000], [0.4991, 0.9983, 0.0000], [0.5012, 0.0025, 0.5000], [0.5012, 0.4988, 0.5000], [0.6625, 0.8313, 0.2446], [0.6625, 0.8313, 0.7554], [0.6667, 0.3333, 0.2495], [0.6667, 0.3333, 0.7505], [0.9975, 0.4988, 0.5000], [0.0000, 0.0000, 0.5000]],
  "m_tot_mub_per_fu": 0.0
}


How far above the most stable structure does each one sit? In meV per atom: #w 0; #x 22.


#w
{
  "formula": "LiMg6BiO8",
  "functional": "GGA-PBE",
  "state": "optimized geometry",
  "lattice": [[4.4304, 0.0000, 0.0000], [0.0000, 4.4304, 0.0000], [0.0000, 0.0000, 8.8457]],
  "species": ["Li", "Mg", "Mg", "Mg", "Mg", "Mg", "Mg", "Bi", "O", "O", "O", "O", "O", "O", "O", "O"],
  "fractional_positions": [[0.0000, 0.0000, 0.0000], [0.0000, 0.0000, 0.5000], [0.0000, 0.5000, 0.2623], [0.0000, 0.5000, 0.7377], [0.5000, 0.0000, 0.2623], [0.5000, 0.0000, 0.7377], [0.5000, 0.5000, 0.5000], [0.5000, 0.5000, 0.0000], [0.0000, 0.0000, 0.2624], [0.0000, 0.0000, 0.7376], [0.0000, 0.5000, 0.0000], [0.0000, 0.5000, 0.5000], [0.5000, 0.0000, 0.0000], [0.5000, 0.0000, 0.5000], [0.5000, 0.5000, 0.2691], [0.5000, 0.5000, 0.7309]],
  "m_tot_mub_per_fu": 0.0
}


#x
{
  "formula": "LiMg6BiO8",
  "functional": "GGA-PBE",
  "state": "optimized geometry",
  "lattice": [[4.4436, 0.0000, 0.0000], [0.0000, 4.4436, 0.0000], [0.0000, 0.0000, 8.8667]],
  "species": ["Li", "Mg", "Mg", "Mg", "Mg", "Mg", "Mg", "Bi", "O", "O", "O", "O", "O", "O", "O", "O"],
  "fractional_positions": [[0.0000, 0.0000, 0.0000], [0.0000, 0.5000, 0.2236], [0.0000, 0.5000, 0.7764], [0.5000, 0.0000, 0.2236], [0.5000, 0.0000, 0.7764], [0.5000, 0.5000, 0.0000], [0.5000, 0.5000, 0.5000], [0.0000, 0.0000, 0.5000], [0.0000, 0.0000, 0.2368], [0.0000, 0.0000, 0.7632], [0.0000, 0.5000, 0.0000], [0.0000, 0.5000, 0.5000], [0.5000, 0.0000, 0.0000], [0.5000, 0.0000, 0.5000], [0.5000, 0.5000, 0.2537], [0.5000, 0.5000, 0.7463]],
  "m_tot_mub_per_fu": 0.0
}


How far above the most stable structure does each one sit? In meV per atom: #w 0; #x 45.


#w
{
  "formula": "Li3BiN2",
  "functional": "GGA-PBE",
  "state": "optimized geometry",
  "lattice": [[-3.5290, 3.5290, 9.3708], [3.5290, -3.5290, 9.3708], [3.5290, 3.5290, -9.3708]],
  "species": ["Li", "Li", "Li", "Li", "Li", "Li", "Li", "Li", "Li", "Li", "Li", "Li", "Bi", "Bi", "Bi", "Bi", "N", "N", "N", "N", "N", "N", "N", "N"],
  "fractional_positions": [[0.1667, 0.4167, 0.3335], [0.1667, 0.8333, 0.7500], [0.2740, 0.5240, 0.7500], [0.4167, 0.1667, 0.8335], [0.4167, 0.5833, 0.2500], [0.4760, 0.7260, 0.7500], [0.5240, 0.2740, 0.2500], [0.5833, 0.4167, 0.7500], [0.5833, 0.8333, 0.1665], [0.7260, 0.4760, 0.2500], [0.8333, 0.1667, 0.2500], [0.8333, 0.5833, 0.6665], [0.0041, 0.7541, 0.2500], [0.2459, 0.9959, 0.2500], [0.7541, 0.0041, 0.7500], [0.9959, 0.2459, 0.7500], [0.1788, 0.6888, 0.4900], [0.3012, 0.3112, 0.9900], [0.3112, 0.3012, 0.4900], [0.3112, 0.8212, 0.0100], [0.6888, 0.1788, 0.9900], [0.6888, 0.6988, 0.5100], [0.6988, 0.6888, 0.0100], [0.8212, 0.3112, 0.5100]],
  "m_tot_mub_per_fu": 0.0
}


#x
{
  "formula": "Li3BiN2",
  "functional": "GGA-PBE",
  "state": "optimized geometry",
  "lattice": [[-5.3877, 5.3877, 5.3877], [5.3877, -5.3877, 5.3877], [5.3877, 5.3877, -5.3877]],
  "species": ["Li", "Li", "Li", "Li", "Li", "Li", "Li", "Li", "Li", "Li", "Li", "Li", "Li", "Li", "Li", "Li", "Li", "Li", "Li", "Li", "Li", "Li", "Li", "Li", "Bi", "Bi", "Bi", "Bi", "Bi", "Bi", "Bi", "Bi", "N", "N", "N", "N", "N", "N", "N", "N", "N", "N", "N", "N", "N", "N", "N", "N"],
  "fractional_positions": [[0.0103, 0.0559, 0.7643], [0.0456, 0.4897, 0.2540], [0.0559, 0.7643, 0.0103], [0.2084, 0.7540, 0.2643], [0.2357, 0.9897, 0.9441], [0.2460, 0.7357, 0.7916], [0.2540, 0.0456, 0.4897], [0.2643, 0.2084, 0.7540], [0.2916, 0.5559, 0.5456], [0.4441, 0.4544, 0.7084], [0.4544, 0.7084, 0.4441], [0.4897, 0.2540, 0.0456], [0.5103, 0.7460, 0.9544], [0.5456, 0.2916, 0.5559], [0.5559, 0.5456, 0.2916], [0.7084, 0.4441, 0.4544], [0.7357, 0.7916, 0.2460], [0.7460, 0.9544, 0.5103], [0.7540, 0.2643, 0.2084], [0.7643, 0.0103, 0.0559], [0.7916, 0.2460, 0.7357], [0.9441, 0.2357, 0.9897], [0.9544, 0.5103, 0.7460], [0.9897, 0.9441, 0.2357], [0.0000, 0.2616, 0.5000], [0.0000, 0.7384, 0.5000], [0.2384, 0.2384, 0.2384], [0.2616, 0.5000, 0.0000], [0.5000, 0.0000, 0.2616], [0.5000, 0.0000, 0.7384], [0.7384, 0.5000, 0.0000], [0.7616, 0.7616, 0.7616], [0.0000, 0.0000, 0.5000], [0.0000, 0.5000, 0.0000], [0.0188, 0.7500, 0.7688], [0.2312, 0.9812, 0.2500], [0.2500, 0.2312, 0.9812], [0.2500, 0.7312, 0.4812], [0.2688, 0.5188, 0.7500], [0.4812, 0.2500, 0.7312], [0.5000, 0.0000, 0.0000], [0.5000, 0.5000, 0.5000], [0.5188, 0.7500, 0.2688], [0.7312, 0.4812, 0.2500], [0.7500, 0.2688, 0.5188], [0.7500, 0.7688, 0.0188], [0.7688, 0.0188, 0.7500], [0.9812, 0.2500, 0.2312]],
  "m_tot_mub_per_fu": 0.0
}


How far above the most stable structure does each one sit? In meV per atom: #w 112; #x 0.


#w
{
  "formula": "Li4Bi2O5",
  "functional": "GGA-PBE",
  "state": "optimized geometry",
  "lattice": [[13.9115, 0.0000, 0.0000], [0.0000, 5.3748, 0.0000], [0.0000, 0.0000, 8.8437]],
  "species": ["Li", "Li", "Li", "Li", "Li", "Li", "Li", "Li", "Li", "Li", "Li", "Li", "Li", "Li", "Li", "Li", "Bi", "Bi", "Bi", "Bi", "Bi", "Bi", "Bi", "Bi", "O", "O", "O", "O", "O", "O", "O", "O", "O", "O", "O", "O", "O", "O", "O", "O", "O", "O", "O", "O"],
  "fractional_positions": [[0.0351, 0.0597, 0.1387], [0.0351, 0.4403, 0.3613], [0.2477, 0.7500, 0.2500], [0.2500, 0.0000, 0.9632], [0.2500, 0.5000, 0.5368], [0.2523, 0.2500, 0.2500], [0.4649, 0.5597, 0.3613], [0.4649, 0.9403, 0.1387], [0.5351, 0.0597, 0.8613], [0.5351, 0.4403, 0.6387], [0.7477, 0.7500, 0.7500], [0.7500, 0.0000, 0.0368], [0.7500, 0.5000, 0.4632], [0.7523, 0.2500, 0.7500], [0.9649, 0.5597, 0.6387], [0.9649, 0.9403, 0.8613], [0.1182, 0.5306, 0.9471], [0.1182, 0.9694, 0.5529], [0.3818, 0.0306, 0.5529], [0.3818, 0.4694, 0.9471], [0.6182, 0.5306, 0.0529], [0.6182, 0.9694, 0.4471], [0.8818, 0.0306, 0.4471], [0.8818, 0.4694, 0.0529], [0.0376, 0.0588, 0.3586], [0.0376, 0.4412, 0.1414], [0.1182, 0.5734, 0.5272], [0.1182, 0.9266, 0.9728], [0.2500, 0.0000, 0.3914], [0.2500, 0.5000, 0.1086], [0.3818, 0.0734, 0.9728], [0.3818, 0.4266, 0.5272], [0.4624, 0.5588, 0.1414], [0.4624, 0.9412, 0.3586], [0.5376, 0.0588, 0.6414], [0.5376, 0.4412, 0.8586], [0.6182, 0.5734, 0.4728], [0.6182, 0.9266, 0.0272], [0.7500, 0.0000, 0.6086], [0.7500, 0.5000, 0.8914], [0.8818, 0.0734, 0.0272], [0.8818, 0.4266, 0.4728], [0.9624, 0.5588, 0.8586], [0.9624, 0.9412, 0.6414]],
  "m_tot_mub_per_fu": 0.0
}


#x
{
  "formula": "Li4Bi2O5",
  "functional": "GGA-PBE",
  "state": "optimized geometry",
  "lattice": [[5.5408, 0.0000, 0.0000], [2.3951, 7.3086, 0.0000], [2.6664, -0.7694, 7.4826]],
  "species": ["Li", "Li", "Li", "Li", "Li", "Li", "Li", "Li", "Bi", "Bi", "Bi", "Bi", "O", "O", "O", "O", "O", "O", "O", "O", "O", "O"],
  "fractional_positions": [[0.1099, 0.3284, 0.4869], [0.1355, 0.0105, 0.8447], [0.1409, 0.6464, 0.1620], [0.3270, 0.1888, 0.0288], [0.6730, 0.8112, 0.9712], [0.8591, 0.3536, 0.8380], [0.8645, 0.9895, 0.1553], [0.8901, 0.6716, 0.5131], [0.3151, 0.5993, 0.7476], [0.3466, 0.8770, 0.3788], [0.6534, 0.1230, 0.6212], [0.6849, 0.4007, 0.2524], [0.0294, 0.5166, 0.6779], [0.0419, 0.7838, 0.9680], [0.0441, 0.1166, 0.6263], [0.4677, 0.0564, 0.2024], [0.4840, 0.3539, 0.8581], [0.5160, 0.6461, 0.1419], [0.5323, 0.9436, 0.7976], [0.9559, 0.8834, 0.3737], [0.9581, 0.2162, 0.0320], [0.9706, 0.4834, 0.3221]],
  "m_tot_mub_per_fu": 0.0
}


How far above the most stable structure does each one sit? In meV per atom: #w 56; #x 0.